Version w
Below is crystalline Li3V3P8O29 at its relaxed geometry, with properties calculated at the PBE with a Hubbard U level.

The structure in POSCAR format:
```
Li3V3P8O29
1.0
8.485 -4.881 0.000
8.485 4.881 0.000
-0.112 0.000 14.488
Li V P O
6 6 16 58
Cartesian
0.662 0.000 3.517
2.623 -0.425 11.733
6.534 -2.548 4.427
10.324 -2.548 10.061
14.234 -0.425 2.756
16.196 0.000 10.971
8.429 0.901 7.244
3.686 -1.872 0.008
8.485 -0.288 0.000
4.722 -2.476 7.338
12.136 -2.476 7.150
13.171 -1.872 14.481
2.597 0.938 1.275
6.535 3.234 8.451
7.791 2.639 1.330
2.616 -0.356 8.604
9.067 2.639 13.158
10.322 3.234 6.037
5.528 0.264 12.809
5.628 0.242 5.578
11.230 0.242 8.911
11.330 0.264 1.679
6.573 -2.598 1.291
7.724 -2.027 8.557
9.134 -2.027 5.932
14.261 0.938 13.213
10.285 -2.598 13.197
14.242 -0.356 5.884
3.902 1.762 1.132
2.847 1.175 8.452
5.177 2.497 8.259
6.284 3.071 1.242
5.479 1.704 13.506
4.370 1.009 6.189
8.425 3.233 2.523
8.485 3.231 0.000
8.433 3.233 11.966
1.651 -0.777 7.401
1.753 -0.773 4.854
2.010 -0.663 9.927
7.684 2.190 8.381
2.950 -0.574 1.099
5.545 0.342 11.335
4.234 -0.452 13.335
6.850 0.959 6.247
5.655 0.218 4.098
10.574 3.071 13.247
9.174 2.190 6.107
3.962 -1.112 8.349
7.853 1.087 1.140
9.005 1.087 13.348
11.680 2.497 6.229
6.774 -0.397 13.503
5.614 -1.210 6.179
10.007 0.959 8.241
5.250 -1.819 1.032
11.379 1.704 0.982
7.768 -0.489 8.385
9.090 -0.489 6.104
12.955 1.762 13.356
7.762 -1.619 1.189
6.239 -2.492 8.439
11.313 0.342 3.153
10.084 -0.397 0.985
12.488 1.009 8.300
11.203 0.218 10.390
9.096 -1.619 13.299
14.010 1.175 6.036
6.517 -3.375 2.572
8.440 -2.577 4.738
8.418 -2.577 9.750
6.740 -3.625 0.074
8.429 -2.644 7.244
6.598 -3.699 12.022
11.244 -1.210 8.309
12.624 -0.452 1.153
11.608 -1.819 13.456
12.895 -1.112 6.140
10.619 -2.492 6.049
13.908 -0.574 13.389
14.847 -0.663 4.561
10.341 -3.375 11.916
10.118 -3.625 14.414
15.105 -0.773 9.634
15.207 -0.777 7.087
10.260 -3.699 2.466
```

## Properties
* M_tot: 0.0 μB/f.u.
* calculated density: 2.45 g/cm3

***

Version x
Below is crystalline Li3V3P8O29 at its relaxed geometry, with properties calculated at the PBE with a Hubbard U level.

The structure in POSCAR format:
```
Li3V3P8O29
1.0
9.762 0.000 0.000
4.880 8.463 0.000
0.124 0.076 14.025
Li V P O
6 6 16 58
Cartesian
0.000 0.000 0.000
2.800 4.711 6.899
3.390 3.523 13.958
7.746 1.965 1.638
8.387 0.758 8.555
10.462 2.724 7.696
7.687 7.471 4.277
4.983 2.689 11.200
6.192 2.790 4.341
8.362 6.427 11.260
12.492 6.382 4.185
13.257 7.511 11.275
1.414 0.139 9.933
3.339 3.431 2.947
3.273 1.974 5.521
2.682 0.813 12.556
5.519 5.574 5.967
5.610 5.555 12.952
10.419 8.405 2.557
10.501 8.357 9.568
8.504 4.641 2.932
7.893 3.475 10.008
7.828 2.008 12.594
9.755 5.303 5.576
11.162 5.412 12.543
8.463 0.784 5.542
12.443 4.654 9.972
14.642 8.473 3.006
4.156 7.118 3.257
4.056 5.505 5.405
4.876 6.850 12.341
1.744 1.013 11.256
1.696 0.919 8.709
2.674 2.638 4.169
2.778 2.765 6.687
1.853 0.741 13.781
3.043 2.778 1.657
3.672 3.472 10.141
6.394 8.255 3.058
5.466 5.576 0.408
6.256 6.797 5.326
5.531 5.504 7.449
4.881 4.291 12.387
3.651 2.031 12.515
2.783 0.517 5.456
4.861 3.505 3.256
7.064 7.265 10.162
4.825 1.992 5.353
8.381 7.977 12.289
7.036 5.604 12.285
6.280 4.304 5.328
4.879 1.164 10.203
9.004 8.324 3.227
7.683 5.945 3.248
6.335 3.472 10.185
6.307 1.939 12.265
8.985 6.647 5.375
8.387 4.930 10.073
7.511 3.426 3.045
6.288 1.192 3.131
9.786 7.128 10.198
10.550 8.424 8.088
10.469 8.338 1.078
7.475 1.974 5.404
9.647 5.670 12.462
8.117 2.659 13.889
9.263 4.687 1.676
8.365 2.685 8.837
8.482 2.801 11.361
9.478 4.520 6.803
9.437 4.448 4.246
11.182 7.134 3.211
11.981 8.422 10.152
11.897 6.777 12.262
12.582 7.925 5.329
11.294 5.611 5.469
8.437 0.572 12.494
9.234 0.873 6.816
11.440 4.511 11.208
9.228 0.636 1.752
9.436 0.963 4.265
11.716 4.746 13.737
11.727 4.620 8.670
14.512 8.305 10.056
12.532 4.876 3.099
13.238 5.975 10.214
```

## Properties
* M_tot: 0.0 μB/f.u.
* calculated density: 2.54 g/cm3

***

Which one is most stable, and which one is least stable? version w is the most stable of them, while version x is the least stable.

***

Version w
Below is crystalline Li3V3P8O29 at its relaxed geometry, with properties calculated at the PBE with a Hubbard U level.

The structure in POSCAR format:
```
Li3V3P8O29
1.0
9.733 0.000 0.000
4.852 8.478 0.000
0.047 0.219 14.225
Li V P O
6 6 16 58
Cartesian
0.000 0.000 0.000
2.270 3.884 7.077
5.561 5.977 12.623
7.086 0.911 12.499
8.466 0.968 5.447
12.688 6.687 6.169
5.062 2.945 2.712
7.222 6.734 9.717
5.622 1.916 9.773
8.429 6.601 2.794
10.555 3.083 9.917
9.914 1.870 2.711
2.270 3.988 3.999
0.088 0.181 11.099
5.449 7.358 4.036
3.649 4.075 11.172
4.828 4.826 8.546
5.573 5.873 1.451
2.895 1.097 8.135
2.917 0.923 1.063
7.746 3.900 11.511
7.782 3.772 4.404
10.034 7.443 11.155
10.761 8.513 3.958
7.101 0.826 1.354
10.161 6.008 8.518
8.489 0.928 8.545
10.699 4.728 1.420
1.501 2.643 3.788
0.920 1.472 10.847
1.435 0.964 1.651
2.228 2.398 8.705
4.779 6.732 5.197
4.897 6.705 2.643
3.917 4.916 7.376
3.956 5.002 9.884
4.126 4.761 12.385
5.267 6.571 0.157
5.854 7.417 11.096
3.780 3.692 3.835
7.008 8.315 8.756
2.937 1.110 6.656
2.897 1.071 13.812
5.003 4.439 1.527
3.695 2.133 1.685
5.886 5.955 8.636
4.341 2.710 10.878
6.994 7.263 3.916
5.572 3.460 8.701
8.401 8.144 1.765
7.091 5.806 1.726
4.342 1.038 8.797
7.080 5.176 10.890
6.350 3.812 3.756
8.503 7.493 10.785
5.177 1.396 3.847
6.413 2.181 1.671
8.583 6.027 8.673
9.713 7.368 3.938
5.732 0.429 11.039
7.030 2.637 10.920
7.785 3.879 12.991
8.532 5.015 3.816
7.795 3.658 5.882
9.701 5.909 1.577
6.968 1.195 8.725
10.345 6.774 12.419
6.717 0.241 0.052
11.561 8.323 2.560
10.689 6.708 9.862
11.732 8.383 5.082
10.725 6.623 7.303
9.219 3.849 10.867
8.474 2.464 3.798
9.875 3.405 1.739
9.268 2.243 8.768
10.618 4.515 8.643
8.651 1.005 1.469
8.761 0.232 7.262
11.619 4.916 2.762
11.487 4.602 0.195
9.007 0.316 12.353
13.711 8.472 9.818
11.709 4.641 5.302
9.884 0.382 3.936
11.848 3.823 11.049
```

## Properties
* M_tot: 0.0 μB/f.u.
* calculated density: 2.50 g/cm3

***

Version x
Below is crystalline Li3V3P8O29 at its relaxed geometry, with properties calculated at the PBE with a Hubbard U level.

The structure in POSCAR format:
```
Li3V3P8O29
1.0
9.761 0.000 0.000
4.851 8.485 0.000
0.130 0.014 14.537
Li V P O
6 6 16 58
Cartesian
0.000 0.000 0.000
3.813 5.531 8.278
4.531 5.057 0.680
6.883 5.003 7.390
11.894 7.634 1.608
13.294 8.459 7.481
2.053 2.083 4.567
1.557 1.010 11.776
6.370 2.096 11.826
8.481 5.780 4.545
6.935 1.005 4.566
9.730 5.734 11.884
12.093 3.926 10.544
6.074 7.636 5.757
3.594 3.177 13.139
6.767 6.495 13.086
4.846 3.169 5.836
6.845 5.033 10.492
6.130 3.875 3.244
4.199 0.112 2.909
4.300 0.076 10.174
9.070 2.921 6.235
9.139 2.886 13.518
12.034 7.675 13.089
11.383 6.498 5.917
13.344 8.422 10.528
11.393 5.049 3.301
14.593 8.454 3.173
0.250 0.243 10.694
2.102 3.580 3.393
1.615 2.542 10.713
5.111 7.869 1.839
3.138 4.079 9.322
5.118 7.562 6.890
3.269 4.077 11.842
3.349 3.960 14.365
5.282 7.445 4.348
2.769 1.873 12.951
1.974 0.509 5.617
6.352 8.002 13.049
3.339 2.824 5.745
3.450 1.335 3.526
2.845 0.146 10.827
6.132 5.828 14.241
6.196 5.885 11.691
5.139 4.021 4.501
5.228 3.984 7.016
5.371 3.999 1.995
6.410 5.569 9.175
7.105 6.470 5.799
5.100 2.803 12.977
8.360 7.332 3.590
4.266 0.023 8.700
5.026 1.327 10.774
6.336 3.576 10.697
4.255 0.028 1.435
7.186 5.003 3.467
5.652 1.837 5.655
8.314 6.386 12.980
6.862 2.511 3.458
8.377 5.047 10.739
9.794 7.315 10.881
5.656 0.096 3.527
8.327 4.200 5.725
7.709 2.864 12.845
6.417 0.511 12.896
9.837 6.424 5.710
7.687 1.237 10.699
9.831 5.056 3.502
11.830 7.998 5.779
11.051 6.482 13.050
9.817 4.163 12.892
8.361 1.665 5.547
8.981 2.814 0.460
9.020 2.741 7.706
11.012 5.030 10.713
8.199 0.170 3.352
12.870 7.679 14.342
11.851 5.786 2.101
11.956 5.906 7.139
12.992 7.484 11.802
13.103 7.687 9.253
11.990 5.760 4.616
10.504 2.933 5.593
9.882 1.634 12.915
10.490 1.299 3.473
```

## Properties
* M_tot: 0.0 μB/f.u.
* calculated density: 2.44 g/cm3

***

Which one is most stable, and which one is least stable? version x is the most stable of them, while version w is the least stable.